VASP calculation (GGA+U) on an optimized crystal structure of Na7Fe3O8.

a = 6.005 Å, b = 8.445 Å, c = 11.519 Å
α = 68.42°, β = 78.54°, γ = 70.50°
Atoms (fractional coordinates):
Na 0.500 0.439 0.281
Na 0.500 0.561 0.719
Na 0.874 0.218 0.664
Na 0.126 0.782 0.336
Na 0.376 0.360 0.566
Na 0.624 0.640 0.434
Na 0.721 0.068 0.472
Na 0.279 0.932 0.528
Na 0.304 0.866 0.048
Na 0.696 0.134 0.952
Na 0.271 0.453 0.050
Na 0.729 0.547 0.950
Na 0.542 0.937 0.780
Na 0.458 0.063 0.220
Fe 0.816 0.739 0.149
Fe 0.044 0.311 0.362
Fe 0.956 0.689 0.638
Fe 0.058 0.845 0.847
Fe 0.942 0.155 0.153
Fe 0.184 0.261 0.851
O 0.062 0.531 0.224
O 0.680 0.781 0.555
O 0.794 0.795 0.970
O 0.206 0.205 0.030
O 0.097 0.065 0.842
O 0.903 0.935 0.158
O 0.760 0.344 0.464
O 0.240 0.656 0.536
O 0.511 0.749 0.227
O 0.489 0.251 0.773
O 0.646 0.313 0.116
O 0.320 0.219 0.445
O 0.354 0.687 0.884
O 0.053 0.107 0.311
O 0.947 0.893 0.689
O 0.938 0.469 0.776

DFT formation energy: -1.71 eV/atom
E_tot: -185.48 eV for the cell shown
Space group: P-1